Record 1
A relaxed LiZnFeO3 crystal, computed with PBE with a Hubbard U.

Summary:
ΔH_f (0 K) in eV per atom: -1.82
Total magnetization in μB/f.u.: 5.0
Space group: Imm2 (44)
E_tot in Ry per atom: -0.4055

abc: 5.2314 5.2314 5.2314
angles: 146.52 132.70 59.19
Atoms (fractional coordinates):
Zn  0.6636  0.6636  0.0000
Li  0.9994  0.9994  0.0000
O  0.4903  0.9903  0.5000
O  0.1796  0.6796  0.5000
O  0.8307  0.3307  0.5000
Fe  0.3364  0.3364  0.0000

=====

Record 2
A relaxed LiZnFe7O12 crystal, computed with PBE with a Hubbard U.

Summary:
ΔH_f (0 K) in eV per atom: -1.70
Total magnetization in μB/f.u.: 35.0
Space group: Cm (8)
E_tot in Ry per atom: -0.4669

abc: 6.0390 6.0390 14.7754
angles: 89.78 89.78 60.05
Atoms (fractional coordinates):
Fe  0.1716  0.6610  0.2086
Fe  0.9963  0.9963  0.3790
Fe  0.5015  0.5015  0.8728
Fe  0.8383  0.8383  0.5416
Fe  0.6599  0.6599  0.3350
Fe  0.3341  0.3341  0.6647
Fe  0.3225  0.8390  0.5402
Fe  0.8390  0.3225  0.5402
Fe  0.5010  0.9961  0.8731
Fe  0.9994  0.9994  0.9984
Fe  0.6732  0.6732  0.0852
Fe  0.6666  0.6666  0.7122
Fe  0.9961  0.5010  0.8731
Fe  0.6610  0.1716  0.2086
O  0.1735  0.1735  0.9525
O  0.4982  0.4982  0.1293
O  0.9824  0.5096  0.6233
O  0.6935  0.1504  0.4633
O  0.8172  0.8172  0.7972
O  0.6677  0.6677  0.9525
O  0.0150  0.5029  0.1262
O  0.1506  0.1506  0.4614
O  0.8395  0.8395  0.2896
O  0.5096  0.9824  0.6233
O  0.3321  0.3321  0.7973
O  0.6647  0.6647  0.4670
O  0.0015  0.0015  0.6145
O  0.1504  0.6935  0.4633
O  0.8161  0.3657  0.7967
O  0.1751  0.6524  0.9514
O  0.3107  0.8364  0.2928
O  0.3400  0.3400  0.2773
O  0.5091  0.5091  0.6230
O  0.6524  0.1751  0.9514
O  0.3657  0.8161  0.7967
O  0.5029  0.0150  0.1262
O  0.8364  0.3107  0.2928
O  0.9974  0.9974  0.1305
Li  0.3330  0.3330  0.4151
Li  0.0005  0.0005  0.7511
Zn  0.3348  0.3348  0.0419
Zn  0.1694  0.1694  0.2102

=====

Record 3
A relaxed LiZn6Fe17O32 crystal, computed with PBE with a Hubbard U.

Summary:
ΔH_f (0 K) in eV per atom: -1.66
Total magnetization in μB/f.u.: 85.0
Space group: Cm (8)
E_tot in Ry per atom: -0.4521

abc: 6.0475 6.0475 19.9242
angles: 81.46 81.46 60.08
Atoms (fractional coordinates):
O  0.9619  0.4564  0.5975
O  0.4666  0.9510  0.0958
O  0.2023  0.7160  0.3465
O  0.8388  0.8388  0.9637
O  0.2374  0.6809  0.8457
O  0.7230  0.7230  0.3473
O  0.0965  0.6099  0.2146
O  0.5893  0.1184  0.7222
O  0.3599  0.8401  0.9624
O  0.5831  0.5831  0.7207
O  0.3396  0.3396  0.4653
O  0.3442  0.3442  0.9654
O  0.1184  0.5893  0.7222
O  0.3466  0.8591  0.4662
O  0.4741  0.4741  0.0966
O  0.9690  0.9690  0.5988
O  0.8405  0.8405  0.4637
O  0.5898  0.5898  0.2142
O  0.8401  0.3599  0.9624
O  0.2387  0.2387  0.8448
O  0.6809  0.2374  0.8457
O  0.2224  0.2224  0.3476
O  0.0912  0.0912  0.7097
O  0.4564  0.9619  0.5975
O  0.9510  0.4666  0.0958
O  0.7170  0.7170  0.8493
O  0.6099  0.0965  0.2146
O  0.9731  0.9731  0.0960
O  0.0903  0.0903  0.2139
O  0.7160  0.2023  0.3465
O  0.8591  0.3466  0.4662
O  0.4697  0.4697  0.6002
Fe  0.2812  0.7812  0.1559
Fe  0.4068  0.4068  0.7838
Fe  0.0311  0.5306  0.4068
Fe  0.5042  0.5042  0.5005
Fe  0.7855  0.2770  0.6586
Fe  0.7812  0.2812  0.1559
Fe  0.5573  0.5573  0.3146
Fe  0.0020  0.0020  0.9964
Fe  0.2553  0.2553  0.2483
Fe  0.3072  0.3072  0.0656
Fe  0.8069  0.8069  0.5635
Fe  0.5297  0.0390  0.9032
Fe  0.5306  0.0311  0.4068
Fe  0.2770  0.7855  0.6586
Fe  0.5301  0.5301  0.9038
Fe  0.0390  0.5297  0.9032
Fe  0.7547  0.7547  0.7496
Zn  0.0312  0.0312  0.4068
Zn  0.6578  0.6578  0.0297
Zn  0.1552  0.1552  0.5330
Zn  0.7811  0.7811  0.1558
Zn  0.9061  0.9061  0.2814
Zn  0.2788  0.2788  0.6583
Li  0.0631  0.0631  0.8108

=====

Record 4
A relaxed Lu2Fe3O7 crystal, computed with PBE with a Hubbard U.

Summary:
ΔH_f (0 K) in eV per atom: -2.61
Total magnetization in μB/f.u.: 14.0
Space group: P6_3/mmc (194)
E_tot in Ry per atom: -0.5443

abc: 3.4632 3.4632 28.8712
angles: 90.00 90.00 120.00
Atoms (fractional coordinates):
O  0.3333  0.6667  0.6103
O  0.6667  0.3333  0.1103
O  0.0000  0.0000  0.1805
O  0.3333  0.6667  0.8897
O  0.3333  0.6667  0.0332
O  0.6667  0.3333  0.7500
O  0.6667  0.3333  0.3897
O  0.3333  0.6667  0.4668
O  0.0000  0.0000  0.3195
O  0.3333  0.6667  0.2500
O  0.0000  0.0000  0.8195
O  0.6667  0.3333  0.5332
O  0.0000  0.0000  0.6805
O  0.6667  0.3333  0.9668
Lu  0.3333  0.6667  0.1485
Lu  0.6667  0.3333  0.8515
Lu  0.6667  0.3333  0.6485
Lu  0.3333  0.6667  0.3515
Fe  0.3333  0.6667  0.9575
Fe  0.6667  0.3333  0.0425
Fe  0.0000  0.0000  0.2500
Fe  0.3333  0.6667  0.5425
Fe  0.0000  0.0000  0.7500
Fe  0.6667  0.3333  0.4575

=====

Record 5
A relaxed LuFe2O4 crystal, computed with PBE with a Hubbard U.

Summary:
ΔH_f (0 K) in eV per atom: -2.40
Total magnetization in μB/f.u.: 9.0
Space group: R-3m (166)
E_tot in Ry per atom: -0.5336
ΔE to the lowest computed polymorph in meV per atom: 56

abc: 8.6901 8.6901 8.6901
angles: 23.04 23.04 23.04
Atoms (fractional coordinates):
Lu  0.0000  0.0000  0.0000
O  0.2930  0.2930  0.2930
O  0.8716  0.8716  0.8716
O  0.1284  0.1284  0.1284
O  0.7070  0.7070  0.7070
Fe  0.7857  0.7857  0.7857
Fe  0.2143  0.2143  0.2143

=====

Record 6
A relaxed Lu3Fe5O12 crystal, computed with PBE with a Hubbard U.

Summary:
ΔH_f (0 K) in eV per atom: -2.55
Total magnetization in μB/f.u.: 25.0
Space group: Ia-3d (230)
E_tot in Ry per atom: -0.5396

abc: 10.7370 10.7370 10.7370
angles: 109.47 109.47 109.47
Atoms (fractional coordinates):
O  0.6277  0.7116  0.5352
O  0.4648  0.3723  0.2884
O  0.5352  0.6277  0.7116
O  0.8236  0.5352  0.4075
O  0.1277  0.0352  0.2116
O  0.2884  0.3236  0.9161
O  0.4075  0.8236  0.5352
O  0.7116  0.5352  0.6277
O  0.4161  0.8236  0.7884
O  0.9161  0.1277  0.5925
O  0.0352  0.2116  0.1277
O  0.9648  0.7884  0.8723
O  0.2116  0.1277  0.0352
O  0.9161  0.2884  0.3236
O  0.9075  0.0352  0.3236
O  0.8236  0.7884  0.4161
O  0.1764  0.4648  0.5925
O  0.0925  0.9648  0.6764
O  0.0352  0.3236  0.9075
O  0.8723  0.4075  0.0839
O  0.8723  0.9648  0.7884
O  0.0839  0.8723  0.4075
O  0.9648  0.6764  0.0925
O  0.5839  0.1764  0.2116
O  0.1277  0.5925  0.9161
O  0.1764  0.2116  0.5839
O  0.6764  0.0839  0.7116
O  0.5352  0.4075  0.8236
O  0.4075  0.0839  0.8723
O  0.7884  0.4161  0.8236
O  0.9075  0.3723  0.5839
O  0.0839  0.7116  0.6764
O  0.4161  0.0925  0.6277
O  0.6277  0.4161  0.0925
O  0.0925  0.6277  0.4161
O  0.2116  0.5839  0.1764
O  0.5839  0.9075  0.3723
O  0.6764  0.0925  0.9648
O  0.5925  0.1764  0.4648
O  0.2884  0.4648  0.3723
O  0.4648  0.5925  0.1764
O  0.7116  0.6764  0.0839
O  0.3723  0.2884  0.4648
O  0.3236  0.9161  0.2884
O  0.5925  0.9161  0.1277
O  0.3236  0.9075  0.0352
O  0.3723  0.5839  0.9075
O  0.7884  0.8723  0.9648
Fe  0.3750  0.2500  0.6250
Fe  0.5000  0.0000  0.0000
Fe  0.3750  0.6250  0.7500
Fe  0.5000  0.0000  0.5000
Fe  0.6250  0.3750  0.2500
Fe  0.2500  0.6250  0.3750
Fe  0.7500  0.8750  0.1250
Fe  0.8750  0.2500  0.1250
Fe  0.0000  0.5000  0.5000
Fe  0.2500  0.1250  0.8750
Fe  0.0000  0.0000  0.0000
Fe  0.1250  0.7500  0.8750
Fe  0.0000  0.0000  0.5000
Fe  0.1250  0.8750  0.2500
Fe  0.7500  0.3750  0.6250
Fe  0.5000  0.5000  0.0000
Fe  0.8750  0.1250  0.7500
Fe  0.5000  0.5000  0.5000
Fe  0.0000  0.5000  0.0000
Fe  0.6250  0.7500  0.3750
Lu  0.3750  0.1250  0.2500
Lu  0.1250  0.3750  0.7500
Lu  0.7500  0.6250  0.8750
Lu  0.2500  0.8750  0.6250
Lu  0.3750  0.7500  0.1250
Lu  0.8750  0.6250  0.2500
Lu  0.1250  0.2500  0.3750
Lu  0.6250  0.2500  0.8750
Lu  0.6250  0.8750  0.7500
Lu  0.7500  0.1250  0.3750
Lu  0.2500  0.3750  0.1250
Lu  0.8750  0.7500  0.6250

=====

Record 7
A relaxed LuFeO3 crystal, computed with PBE with a Hubbard U.

Summary:
ΔH_f (0 K) in eV per atom: -2.88
Total magnetization in μB/f.u.: 5.0
Space group: Pnma (62)
E_tot in Ry per atom: -0.5573

abc: 5.2410 5.5814 7.6658
angles: 90.00 90.00 90.00
Atoms (fractional coordinates):
Fe  0.0000  0.5000  0.0000
Fe  0.5000  0.0000  0.0000
Fe  0.0000  0.5000  0.5000
Fe  0.5000  0.0000  0.5000
Lu  0.4779  0.4284  0.7500
Lu  0.9779  0.0716  0.2500
Lu  0.5221  0.5716  0.2500
Lu  0.0221  0.9284  0.7500
O  0.6880  0.3085  0.4341
O  0.8704  0.5525  0.7500
O  0.8120  0.8085  0.4341
O  0.3120  0.6915  0.5659
O  0.8120  0.8085  0.0659
O  0.1296  0.4475  0.2500
O  0.6296  0.0525  0.7500
O  0.1880  0.1915  0.9341
O  0.1880  0.1915  0.5659
O  0.6880  0.3085  0.0659
O  0.3704  0.9475  0.2500
O  0.3120  0.6915  0.9341

=====

Record 8
A relaxed LuFe2O4 crystal, computed with PBE with a Hubbard U.

Summary:
ΔH_f (0 K) in eV per atom: -2.46
Total magnetization in μB/f.u.: 9.0
Space group: C2/m (12)
E_tot in Ry per atom: -0.5376
ΔE to the lowest computed polymorph in meV per atom: 2

abc: 6.0288 6.0288 16.9852
angles: 86.47 86.47 120.14
Atoms (fractional coordinates):
O  0.3222  0.3222  0.0620
O  0.4373  0.7663  0.6909
O  0.6449  0.9666  0.0554
O  0.0944  0.0944  0.6892
O  0.1442  0.4648  0.5582
O  0.9056  0.9056  0.3108
O  0.9380  0.2759  0.1902
O  0.0334  0.3551  0.9446
O  0.7663  0.4373  0.6909
O  0.2759  0.9380  0.1902
O  0.1802  0.1802  0.4432
O  0.6170  0.6170  0.1888
O  0.0620  0.7241  0.8098
O  0.5627  0.2337  0.3091
O  0.8558  0.5352  0.4418
O  0.3830  0.3830  0.8112
O  0.5352  0.8558  0.4418
O  0.9666  0.6449  0.0554
O  0.6778  0.6778  0.9380
O  0.3551  0.0334  0.9446
O  0.8198  0.8198  0.5568
O  0.4648  0.1442  0.5582
O  0.7241  0.0620  0.8098
O  0.2337  0.5627  0.3091
Lu  0.2580  0.2580  0.2451
Lu  0.7420  0.7420  0.7549
Lu  0.4130  0.0775  0.7479
Lu  0.0775  0.4130  0.7479
Lu  0.5870  0.9225  0.2521
Lu  0.9225  0.5870  0.2521
Fe  0.3114  0.9766  0.0718
Fe  0.8656  0.8656  0.4283
Fe  0.1941  0.5274  0.4285
Fe  0.3539  0.3539  0.9290
Fe  0.4726  0.8059  0.5715
Fe  0.5274  0.1941  0.4285
Fe  0.9766  0.3114  0.0718
Fe  0.6886  0.0234  0.9282
Fe  0.8059  0.4726  0.5715
Fe  0.1344  0.1344  0.5717
Fe  0.6461  0.6461  0.0710
Fe  0.0234  0.6886  0.9282